This record from the Materials Project database describes a geometry-optimized LiYb2Tl structure. The functional is meta-GGA r2SCAN.

Calculated values
**Symmetry**: No. 225

Unit cell a=5.159 b=5.159 c=5.159 alpha=60.00 beta=60.00 gamma=60.00
Sites, in units of the cell vectors:
1 Li 0.500 0.500 0.500
2 Yb 0.750 0.750 0.750
3 Yb 0.250 0.250 0.250
4 Tl 0.000 0.000 0.000

***

This record from the Materials Project database describes a geometry-optimized AlSi3W2 structure. The functional is meta-GGA r2SCAN.

Calculated values
**Symmetry**: No. 99

Unit cell a=3.214 b=3.214 c=8.033 alpha=90.00 beta=90.00 gamma=90.00
Sites, in units of the cell vectors:
1 Al 0.500 0.500 0.168
2 Si 0.000 0.000 0.667
3 Si 0.000 0.000 0.337
4 Si 0.500 0.500 0.836
5 W 0.000 0.000 0.988
6 W 0.500 0.500 0.505

***

This record from the Materials Project database describes a geometry-optimized BaNpO3 structure. The functional is meta-GGA r2SCAN.

Calculated values
**Symmetry**: No. 221

Unit cell a=4.408 b=4.408 c=4.408 alpha=90.00 beta=90.00 gamma=90.00
Sites, in units of the cell vectors:
1 Ba 0.500 0.500 0.500
2 Np 0.000 0.000 0.000
3 O 0.000 0.500 0.000
4 O 0.000 0.000 0.500
5 O 0.500 0.000 0.000

***

This record from the Materials Project database describes a geometry-optimized HoCuSi structure. The functional is meta-GGA r2SCAN.

Calculated values
**Symmetry**: No. 194

Unit cell a=4.100 b=4.100 c=7.472 alpha=90.00 beta=90.00 gamma=120.00
Sites, in units of the cell vectors:
1 Ho 0.000 0.000 0.500
2 Ho 0.000 0.000 0.000
3 Cu 0.333 0.667 0.250
4 Cu 0.667 0.333 0.750
5 Si 0.667 0.333 0.250
6 Si 0.333 0.667 0.750

***

This record from the Materials Project database describes a geometry-optimized Er2Si3Pd structure. The functional is meta-GGA r2SCAN.

Calculated values
**Symmetry**: No. 194

Unit cell a=8.084 b=8.084 c=8.011 alpha=90.00 beta=90.00 gamma=120.00
Sites, in units of the cell vectors:
1 Er 0.500 0.000 0.250
2 Er 0.500 0.000 0.750
3 Er 0.000 0.500 0.250
4 Er 0.000 0.500 0.750
5 Er 0.500 0.500 0.250
6 Er 0.500 0.500 0.750
7 Er 0.000 0.000 0.250
8 Er 0.000 0.000 0.750
9 Si 0.166 0.332 0.000
10 Si 0.834 0.668 0.000
11 Si 0.668 0.834 0.000
12 Si 0.834 0.668 0.500
13 Si 0.332 0.166 0.000
14 Si 0.166 0.332 0.500
15 Si 0.166 0.834 0.000
16 Si 0.332 0.166 0.500
17 Si 0.834 0.166 0.000
18 Si 0.668 0.834 0.500
19 Si 0.834 0.166 0.500
20 Si 0.166 0.834 0.500
21 Pd 0.333 0.667 0.001
22 Pd 0.667 0.333 0.999
23 Pd 0.667 0.333 0.501
24 Pd 0.333 0.667 0.499

***

This record from the Materials Project database describes a geometry-optimized EuZrO3 structure. The functional is meta-GGA r2SCAN.

Calculated values
**Symmetry**: No. 62

Unit cell a=5.745 b=5.845 c=8.166 alpha=90.00 beta=90.00 gamma=90.00
Sites, in units of the cell vectors:
1 Eu 0.011 0.544 0.250
2 Eu 0.511 0.956 0.750
3 Eu 0.488 0.044 0.250
4 Eu 0.989 0.456 0.750
5 Zr 0.000 0.000 0.000
6 Zr 0.500 0.500 0.500
7 Zr 0.000 0.000 0.500
8 Zr 0.500 0.500 0.000
9 O 0.587 0.476 0.250
10 O 0.913 0.976 0.250
11 O 0.413 0.524 0.750
12 O 0.087 0.024 0.750
13 O 0.210 0.289 0.047
14 O 0.290 0.789 0.453
15 O 0.790 0.711 0.547
16 O 0.710 0.211 0.953
17 O 0.790 0.711 0.953
18 O 0.710 0.211 0.547
19 O 0.210 0.289 0.453
20 O 0.290 0.789 0.047

***

This record from the Materials Project database describes a geometry-optimized PrGe structure. The functional is meta-GGA r2SCAN.

Calculated values
**Symmetry**: No. 63

Unit cell a=4.085 b=4.523 c=6.031 alpha=112.02 beta=90.00 gamma=90.00
Sites, in units of the cell vectors:
1 Pr 0.750 0.361 0.723
2 Pr 0.250 0.639 0.277
3 Ge 0.750 0.080 0.159
4 Ge 0.250 0.920 0.841

***

This record from the Materials Project database describes a geometry-optimized Sc2Ni12P7 structure. The functional is meta-GGA r2SCAN.

Calculated values
**Symmetry**: No. 174

Unit cell a=8.918 b=8.918 c=3.577 alpha=90.00 beta=90.00 gamma=120.00
Sites, in units of the cell vectors:
1 Sc 0.667 0.333 0.500
2 Sc 0.333 0.667 0.000
3 Ni 0.383 0.434 0.500
4 Ni 0.051 0.617 0.500
5 Ni 0.219 0.094 0.500
6 Ni 0.875 0.781 0.500
7 Ni 0.906 0.125 0.500
8 Ni 0.724 0.878 0.000
9 Ni 0.122 0.846 0.000
10 Ni 0.154 0.276 0.000
11 Ni 0.937 0.372 0.000
12 Ni 0.628 0.565 0.000
13 Ni 0.435 0.063 0.000
14 Ni 0.566 0.949 0.500
15 P 0.000 0.000 0.000
16 P 0.412 0.295 0.000
17 P 0.589 0.706 0.500
18 P 0.294 0.883 0.500
19 P 0.117 0.411 0.500
20 P 0.705 0.117 0.000
21 P 0.883 0.588 0.000

***

This record from the Materials Project database describes a geometry-optimized Cs6Ho21Te34Cl structure. The functional is meta-GGA r2SCAN.

Calculated values
**Symmetry**: No. 12

Unit cell a=14.380 b=14.380 c=14.392 alpha=65.72 beta=65.72 gamma=97.65
Sites, in units of the cell vectors:
1 Cs 0.042 0.806 0.722
2 Cs 0.806 0.042 0.722
3 Cs 0.958 0.194 0.278
4 Cs 0.194 0.958 0.278
5 Cs 0.781 0.781 0.574
6 Cs 0.219 0.219 0.426
7 Ho 0.700 0.300 0.000
8 Ho 0.300 0.700 0.000
9 Ho 0.046 0.458 0.750
10 Ho 0.458 0.046 0.750
11 Ho 0.954 0.542 0.250
12 Ho 0.542 0.954 0.250
13 Ho 0.831 0.427 0.622
14 Ho 0.427 0.831 0.622
15 Ho 0.169 0.573 0.378
16 Ho 0.573 0.169 0.378
17 Ho 0.902 0.098 0.000
18 Ho 0.098 0.902 0.000
19 Ho 0.266 0.470 0.890
20 Ho 0.470 0.266 0.890
21 Ho 0.734 0.530 0.110
22 Ho 0.530 0.734 0.110
23 Ho 0.398 0.602 0.500
24 Ho 0.602 0.398 0.500
25 Ho 0.500 0.500 0.000
26 Ho 0.245 0.245 0.749
27 Ho 0.755 0.755 0.251
28 Te 0.689 0.689 0.932
29 Te 0.311 0.311 0.068
30 Te 0.059 0.059 0.812
31 Te 0.941 0.941 0.188
32 Te 0.087 0.288 0.933
33 Te 0.288 0.087 0.933
34 Te 0.913 0.712 0.067
35 Te 0.712 0.913 0.067
36 Te 0.887 0.486 0.938
37 Te 0.486 0.887 0.938
38 Te 0.113 0.514 0.062
39 Te 0.514 0.113 0.062
40 Te 0.865 0.265 0.812
41 Te 0.265 0.865 0.812
42 Te 0.135 0.735 0.188
43 Te 0.735 0.135 0.188
44 Te 0.241 0.637 0.689
45 Te 0.637 0.241 0.689
46 Te 0.759 0.363 0.311
47 Te 0.363 0.759 0.311
48 Te 0.013 0.617 0.558
49 Te 0.617 0.013 0.558
50 Te 0.987 0.383 0.442
51 Te 0.383 0.987 0.442
52 Te 0.212 0.415 0.563
53 Te 0.415 0.212 0.563
54 Te 0.788 0.585 0.437
55 Te 0.585 0.788 0.437
56 Te 0.659 0.460 0.812
57 Te 0.460 0.659 0.812
58 Te 0.341 0.540 0.188
59 Te 0.540 0.341 0.188
60 Te 0.433 0.433 0.691
61 Te 0.567 0.567 0.309
62 Cl 0.000 0.000 0.500

***

This record from the Materials Project database describes a geometry-optimized RbAuF4 structure. The functional is meta-GGA r2SCAN.

Calculated values
**Symmetry**: No. 140

Unit cell a=6.198 b=6.198 c=7.353 alpha=114.93 beta=114.93 gamma=90.00
Sites, in units of the cell vectors:
1 Rb 0.250 0.250 0.500
2 Rb 0.750 0.750 0.500
3 Au 0.000 0.500 0.000
4 Au 0.500 0.000 0.000
5 F 0.957 0.457 0.230
6 F 0.727 0.227 0.770
7 F 0.043 0.543 0.770
8 F 0.227 0.043 0.770
9 F 0.273 0.773 0.230
10 F 0.457 0.273 0.230
11 F 0.773 0.957 0.230
12 F 0.543 0.727 0.770

***

This record from the Materials Project database describes a geometry-optimized In6TeO12 structure. The functional is meta-GGA r2SCAN.

Calculated values
**Symmetry**: No. 148

Unit cell a=6.249 b=6.249 c=6.249 alpha=98.72 beta=98.72 gamma=98.72
Sites, in units of the cell vectors:
1 In 0.860 0.394 0.682
2 In 0.140 0.606 0.318
3 In 0.606 0.318 0.140
4 In 0.394 0.682 0.860
5 In 0.682 0.860 0.394
6 In 0.318 0.140 0.606
7 Te 0.000 0.000 0.000
8 O 0.300 0.086 0.960
9 O 0.040 0.700 0.914
10 O 0.086 0.960 0.300
11 O 0.824 0.581 0.405
12 O 0.595 0.176 0.419
13 O 0.581 0.405 0.824
14 O 0.405 0.824 0.581
15 O 0.960 0.300 0.086
16 O 0.914 0.040 0.700
17 O 0.419 0.595 0.176
18 O 0.700 0.914 0.040
19 O 0.176 0.419 0.595

***

This record from the Materials Project database describes a geometry-optimized Zr6Ag7F31 structure. The functional is meta-GGA r2SCAN.

Calculated values
**Symmetry**: No. 148

Unit cell a=8.680 b=8.680 c=8.680 alpha=106.83 beta=106.83 gamma=106.83
Sites, in units of the cell vectors:
1 Zr 0.117 0.036 0.359
2 Zr 0.359 0.117 0.036
3 Zr 0.036 0.359 0.117
4 Zr 0.883 0.964 0.641
5 Zr 0.641 0.883 0.964
6 Zr 0.964 0.641 0.883
7 Ag 0.500 0.500 0.500
8 Ag 0.814 0.288 0.426
9 Ag 0.426 0.814 0.288
10 Ag 0.288 0.426 0.814
11 Ag 0.186 0.712 0.574
12 Ag 0.574 0.186 0.712
13 Ag 0.712 0.574 0.186
14 F 0.000 0.000 0.000
15 F 0.091 0.253 0.306
16 F 0.306 0.091 0.253
17 F 0.253 0.306 0.091
18 F 0.909 0.747 0.694
19 F 0.694 0.909 0.747
20 F 0.747 0.694 0.909
21 F 0.046 0.787 0.160
22 F 0.160 0.046 0.787
23 F 0.787 0.160 0.046
24 F 0.954 0.213 0.840
25 F 0.840 0.954 0.213
26 F 0.213 0.840 0.954
27 F 0.851 0.449 0.979
28 F 0.449 0.979 0.851
29 F 0.979 0.851 0.449
30 F 0.149 0.551 0.021
31 F 0.551 0.021 0.149
32 F 0.021 0.149 0.551
33 F 0.742 0.438 0.672
34 F 0.438 0.672 0.742
35 F 0.672 0.742 0.438
36 F 0.258 0.562 0.328
37 F 0.562 0.328 0.258
38 F 0.328 0.258 0.562
39 F 0.056 0.525 0.708
40 F 0.525 0.708 0.056
41 F 0.708 0.056 0.525
42 F 0.944 0.475 0.292
43 F 0.475 0.292 0.944
44 F 0.292 0.944 0.475

***

This record from the Materials Project database describes a geometry-optimized La2Co3 structure. The functional is meta-GGA r2SCAN.

Calculated values
**Symmetry**: No. 14

Unit cell a=4.779 b=5.777 c=8.008 alpha=90.00 beta=90.00 gamma=114.54
Sites, in units of the cell vectors:
1 La 0.155 0.311 0.587
2 La 0.845 0.689 0.413
3 La 0.655 0.311 0.913
4 La 0.345 0.689 0.087
5 Co 0.687 0.874 0.750
6 Co 0.313 0.126 0.250
7 Co 0.187 0.874 0.750
8 Co 0.813 0.126 0.250
9 Co 0.000 0.000 0.000
10 Co 0.500 0.000 0.500

***

This record from the Materials Project database describes a geometry-optimized PuPO4 structure. The functional is meta-GGA r2SCAN.

Calculated values
**Symmetry**: No. 14

Unit cell a=7.000 b=6.420 c=8.123 alpha=53.54 beta=90.00 gamma=90.00
Sites, in units of the cell vectors:
1 Pu 0.335 0.182 0.715
2 Pu 0.165 0.182 0.215
3 Pu 0.665 0.818 0.285
4 Pu 0.835 0.818 0.785
5 P 0.335 0.693 0.693
6 P 0.165 0.693 0.193
7 P 0.665 0.307 0.307
8 P 0.835 0.307 0.807
9 O 0.991 0.193 0.749
10 O 0.509 0.193 0.249
11 O 0.009 0.807 0.251
12 O 0.491 0.807 0.751
13 O 0.394 0.669 0.523
14 O 0.106 0.669 0.023
15 O 0.606 0.331 0.477
16 O 0.894 0.331 0.977
17 O 0.282 0.415 0.871
18 O 0.218 0.415 0.371
19 O 0.718 0.585 0.129
20 O 0.782 0.585 0.629
21 O 0.166 0.886 0.614
22 O 0.334 0.886 0.114
23 O 0.834 0.114 0.386
24 O 0.666 0.114 0.886

***

This record from the Materials Project database describes a geometry-optimized DyCu3S3 structure. The functional is meta-GGA r2SCAN.

Calculated values
**Symmetry**: No. 148

Unit cell a=7.413 b=7.413 c=7.413 alpha=53.29 beta=53.29 gamma=53.29
Sites, in units of the cell vectors:
1 Dy 0.833 0.833 0.833
2 Dy 0.167 0.167 0.167
3 Cu 0.964 0.624 0.282
4 Cu 0.282 0.964 0.624
5 Cu 0.624 0.282 0.964
6 Cu 0.376 0.718 0.036
7 Cu 0.718 0.036 0.376
8 Cu 0.036 0.376 0.718
9 S 0.747 0.417 0.084
10 S 0.417 0.084 0.747
11 S 0.084 0.747 0.417
12 S 0.916 0.253 0.583
13 S 0.583 0.916 0.253
14 S 0.253 0.583 0.916

***

This record from the Materials Project database describes a geometry-optimized CeInPt4 structure. The functional is meta-GGA r2SCAN.

Calculated values
**Symmetry**: No. 216

Unit cell a=5.393 b=5.393 c=5.393 alpha=60.00 beta=60.00 gamma=60.00
Sites, in units of the cell vectors:
1 Ce 0.000 0.000 0.000
2 In 0.250 0.250 0.250
3 Pt 0.624 0.624 0.127
4 Pt 0.624 0.127 0.624
5 Pt 0.127 0.624 0.624
6 Pt 0.624 0.624 0.624

***

This record from the Materials Project database describes a geometry-optimized SmNiO3 structure. The functional is meta-GGA r2SCAN.

Calculated values
**Symmetry**: No. 221

Unit cell a=3.740 b=3.740 c=3.740 alpha=90.00 beta=90.00 gamma=90.00
Sites, in units of the cell vectors:
1 Sm 0.500 0.500 0.500
2 Ni 0.000 0.000 0.000
3 O 0.500 0.000 0.000
4 O 0.000 0.500 0.000
5 O 0.000 0.000 0.500

***

no.,total energy (eV per atom),spin magnetization (μB/cell)
1,-32.400,0.0
2,-22.896,0.0
3,-28.786,3.0
4,-18.233,0.0
5,-20.459,0.0
6,-19.443,0.0
7,-22.560,0.0
8,-11.712,0.0
9,-29.302,0.0
10,-14.751,0.0
11,-13.976,0.0
12,-11.846,0.0
13,-19.853,6.6
14,-23.020,20.0
15,-13.669,0.0
16,-44.119,0.2
17,-14.313,0.0